[1]
Below is an optimized crystal structure of GdHCO4, with properties calculated at the PBE level.

Properties
E_form: -2.5325 eV/atom
DFT total energy: -8.78 eV per atom
magnetization: 0.9999 μB/atom

a b c (Å): 4.917 7.164 8.611
angles (deg): 90.00 90.00 90.00
Space group P2_12_12_1 (No. 19)
One atom of each set of equivalent atoms:
1 Gd 0.002 0.111 0.162
2 H 0.102 0.746 0.030
3 C 0.001 0.551 0.672
4 O 0.001 0.954 0.702
5 O 0.006 0.293 0.383
6 O 0.225 0.096 0.896
7 O 0.231 0.596 0.608

[2]
Below is an optimized crystal structure of GdPH5CO7, with properties calculated at the PBE level.

Properties
E_form: -1.9967 eV/atom
DFT total energy: -7.03 eV per atom
magnetization: 0.4671 μB/atom

a b c (Å): 6.608 7.000 7.838
angles (deg): 111.67 96.28 90.38
Space group P-1 (No. 2)
One atom of each set of equivalent atoms:
1 Gd 0.127 0.222 0.434
2 P 0.327 0.749 0.481
3 H 0.165 0.521 0.822
4 H 0.280 0.327 0.852
5 H 0.372 0.708 0.300
6 H 0.475 0.258 0.107
7 H 0.483 0.881 0.092
8 C 0.060 0.907 0.002
9 O 0.053 0.754 0.850
10 O 0.155 0.920 0.155
11 O 0.181 0.572 0.475
12 O 0.197 0.942 0.538
13 O 0.215 0.382 0.760
14 O 0.412 0.200 0.978
15 O 0.472 0.223 0.394

[3]
Below is an optimized crystal structure of Gd3InC, with properties calculated at the PBE level.

Properties
E_form: 1.5435 eV/atom
DFT total energy: -9.30 eV per atom
magnetization: 4.2381 μB/atom

a b c (Å): 5.660 5.660 5.660
angles (deg): 90.00 90.00 90.00
Space group Pm-3m (No. 221)
One atom of each set of equivalent atoms:
1 Gd 0.000 0.000 0.500
2 In 0.000 0.000 0.000
3 C 0.500 0.500 0.500

Please write out number 2 again, unchanged.
Below is an optimized crystal structure of GdPH5CO7, with properties calculated at the PBE level.

Properties
E_form: -1.9967 eV/atom
DFT total energy: -7.03 eV per atom
magnetization: 0.4671 μB/atom

a b c (Å): 6.608 7.000 7.838
angles (deg): 111.67 96.28 90.38
Space group P-1 (No. 2)
One atom of each set of equivalent atoms:
1 Gd 0.127 0.222 0.434
2 P 0.327 0.749 0.481
3 H 0.165 0.521 0.822
4 H 0.280 0.327 0.852
5 H 0.372 0.708 0.300
6 H 0.475 0.258 0.107
7 H 0.483 0.881 0.092
8 C 0.060 0.907 0.002
9 O 0.053 0.754 0.850
10 O 0.155 0.920 0.155
11 O 0.181 0.572 0.475
12 O 0.197 0.942 0.538
13 O 0.215 0.382 0.760
14 O 0.412 0.200 0.978
15 O 0.472 0.223 0.394